A plane-wave DFT calculation with PBE was carried out for a relaxed NaEu2AlP3 crystal.

As for the density: 4.60 g/cm3. As for the space group: C2/m.

Cell lengths 8.0365, 8.0365, 11.4508 Å; angles 105.64, 105.64, 67.26 degrees
Sites, in units of the cell vectors:
Na 0.0229 0.0229 0.7603
Na 0.1968 0.8032 0.0000
Na 0.8032 0.1968 0.0000
Na 0.9771 0.9771 0.2397
Eu 0.0000 0.5000 0.0000
Eu 0.0822 0.5428 0.6808
Eu 0.2559 0.7441 0.5000
Eu 0.4572 0.9178 0.3192
Eu 0.5000 0.0000 0.0000
Eu 0.5428 0.0822 0.6808
Eu 0.7441 0.2559 0.5000
Eu 0.9178 0.4572 0.3192
Al 0.3350 0.3350 0.2658
Al 0.4696 0.4696 0.1164
Al 0.5304 0.5304 0.8836
Al 0.6650 0.6650 0.7342
P 0.1589 0.1589 0.4944
P 0.1615 0.1615 0.1298
P 0.2275 0.6423 0.2285
P 0.3267 0.3267 0.4774
P 0.3573 0.3573 0.8991
P 0.3577 0.7725 0.7715
P 0.6423 0.2275 0.2285
P 0.6427 0.6427 0.1009
P 0.6733 0.6733 0.5226
P 0.7725 0.3577 0.7715
P 0.8385 0.8385 0.8702
P 0.8411 0.8411 0.5056


A plane-wave DFT calculation with PBE was carried out for a relaxed TlV12S16 crystal.

Its MP2020-corrected energy is -214.1 eV per cell. As for the density: 4.67 g/cm3. As for the space group: P1.

Cell lengths 6.5079, 9.1570, 9.7050 Å; angles 118.05, 109.57, 90.01 degrees
Sites, in units of the cell vectors:
Tl 0.0000 0.0000 0.0000
V 0.1128 0.4911 0.3728
V 0.1186 0.3714 0.8809
V 0.1831 0.8808 0.5115
V 0.4237 0.1183 0.4910
V 0.4869 0.6289 0.1191
V 0.4902 0.5101 0.6286
V 0.6124 0.4886 0.3699
V 0.6167 0.3715 0.8809
V 0.6812 0.8818 0.5090
V 0.9209 0.1188 0.4900
V 0.9860 0.6295 0.1195
V 0.9920 0.5092 0.6275
S 0.0301 0.0512 0.7041
S 0.0750 0.9483 0.2981
S 0.1528 0.6527 0.9488
S 0.2537 0.7050 0.6539
S 0.2601 0.3330 0.6663
S 0.3444 0.6666 0.3333
S 0.3514 0.2958 0.3470
S 0.4528 0.3471 0.0516
S 0.5298 0.0508 0.7050
S 0.5744 0.9493 0.2953
S 0.6510 0.6534 0.9486
S 0.7514 0.7024 0.6506
S 0.7604 0.3337 0.6670
S 0.8442 0.6669 0.3337
S 0.8503 0.2948 0.3460
S 0.9516 0.3494 0.0517


no.,formation energy from the elements (eV/atom)
1,-0.9238
2,-1.2595